First-principles (PBE+U) data for a relaxed Li2Ti3FeO8 crystal, as listed in the Materials Project.

Computed properties:
- Electronic total energy: -0.5746 Ry per atom
- Distance to the lowest polymorph of the same formula: 26 meV per atom
- Formation energy from the elements: -2.9743 eV/atom

Cell: 5.961 9.870 10.292 Å, 90.02 90.05 90.02°
Atoms (fractional coordinates):
Li 0.000 0.000 0.000
Li 0.000 0.109 0.333
Li 0.000 0.500 0.667
Li 0.499 0.109 0.833
Li 0.500 0.500 0.167
Li 0.500 0.609 0.834
Li 0.501 0.000 0.500
Li 0.999 0.609 0.334
Ti 0.000 0.826 0.501
Ti 0.246 0.324 0.919
Ti 0.246 0.825 0.749
Ti 0.252 0.324 0.418
Ti 0.253 0.824 0.249
Ti 0.499 0.826 0.001
Ti 0.500 0.326 0.666
Ti 0.746 0.325 0.418
Ti 0.747 0.825 0.249
Ti 0.753 0.325 0.918
Ti 0.753 0.824 0.749
Ti 0.999 0.326 0.166
Fe 0.001 0.103 0.666
Fe 0.500 0.103 0.165
Fe 0.500 0.602 0.502
Fe 0.999 0.603 0.002
O 0.000 0.216 0.000
O 0.000 0.437 0.852
O 0.000 0.716 0.667
O 0.000 0.925 0.333
O 0.000 0.937 0.816
O 0.001 0.217 0.491
O 0.225 0.436 0.075
O 0.226 0.935 0.591
O 0.234 0.219 0.256
O 0.234 0.718 0.411
O 0.265 0.218 0.755
O 0.266 0.718 0.911
O 0.275 0.436 0.575
O 0.275 0.936 0.092
O 0.499 0.937 0.315
O 0.500 0.215 0.500
O 0.500 0.217 0.991
O 0.500 0.425 0.834
O 0.500 0.437 0.352
O 0.500 0.716 0.167
O 0.500 0.925 0.833
O 0.501 0.717 0.676
O 0.726 0.435 0.576
O 0.726 0.935 0.092
O 0.733 0.218 0.756
O 0.734 0.718 0.912
O 0.765 0.218 0.255
O 0.765 0.719 0.412
O 0.774 0.435 0.076
O 0.776 0.937 0.592
O 0.999 0.425 0.334
O 0.999 0.717 0.176